Compound: Li2ZrO3
Source: the Materials Project
Functional: meta-GGA r2SCAN
Structure: relaxed

Cell: 5.247 5.247 5.385 Å, 100.90 100.90 118.71°
Positions (direct):
1 O 0.000 0.500 0.000
2 O 0.156 0.308 0.512
3 O 0.308 0.156 0.012
4 O 0.692 0.844 0.988
5 O 0.844 0.692 0.488
6 O 0.500 0.000 0.500
7 Li 0.740 0.260 0.250
8 Li 0.424 0.576 0.250
9 Li 0.576 0.424 0.750
10 Li 0.260 0.740 0.750
11 Zr 0.091 0.909 0.250
12 Zr 0.909 0.091 0.750

Computed properties:
As for the energy relative to the elements: -3003.8 meV per atom. The total energy comes out at -10.5773 eV per atom. The magnetization is 0.00 μB per cell.